Record 1
This record from the Materials Project describes CuPO3 after structural relaxation. The functional is PBE-GGA.

abc: 7.6108 5.5720 14.0855
angles: 90.00 118.04 90.00
Last column: nearest neighbours and their distance in Å.
Positions (direct):
1 Cu 0.2279 0.1242 0.0140  2 O 1.92-1.93
2 Cu 0.2279 0.3758 0.5140  2 O 1.92-1.93
3 Cu 0.2529 0.6399 0.8530  2 O 1.90
4 Cu 0.2529 0.8601 0.3530  2 O 1.90
5 Cu 0.7471 0.1399 0.6470  2 O 1.90
6 Cu 0.7471 0.3601 0.1470  2 O 1.90
7 Cu 0.7721 0.6242 0.4860  2 O 1.92-1.93
8 Cu 0.7721 0.8758 0.9860  2 O 1.92-1.93
9 P 0.2938 0.6242 0.1058  4 O 1.50-1.62
10 P 0.2938 0.8758 0.6058  4 O 1.50-1.62
11 P 0.2988 0.1450 0.7920  4 O 1.50-1.63
12 P 0.2988 0.3550 0.2920  4 O 1.50-1.63
13 P 0.7012 0.6450 0.7080  4 O 1.50-1.63
14 P 0.7012 0.8550 0.2080  4 O 1.50-1.63
15 P 0.7062 0.1242 0.3942  4 O 1.50-1.62
16 P 0.7062 0.3758 0.8942  4 O 1.50-1.62
17 O 0.1479 0.6796 0.5456  1 P 1.50
18 O 0.1479 0.8204 0.0456  1 P 1.50
19 O 0.1557 0.1606 0.2843  1 P 1.50
20 O 0.1557 0.3394 0.7843  1 P 1.50
21 O 0.2087 0.0158 0.6760  2 P 1.61-1.62
22 O 0.2087 0.4842 0.1760  2 P 1.61-1.62
23 O 0.3390 0.0568 0.5402  1 P 1.51
24 O 0.3390 0.4432 0.0402  1 P 1.51
25 O 0.3507 0.5409 0.3794  1 P 1.51
26 O 0.3507 0.9591 0.8794  1 P 1.51
27 O 0.4982 0.7388 0.1993  2 P 1.62-1.63
28 O 0.4982 0.7612 0.6993  2 P 1.62-1.63
29 O 0.5018 0.2388 0.3007  2 P 1.62-1.63
30 O 0.5018 0.2612 0.8007  2 P 1.62-1.63
31 O 0.6493 0.0409 0.1206  1 P 1.51
32 O 0.6493 0.4591 0.6206  1 P 1.51
33 O 0.6610 0.5568 0.9598  1 P 1.51
34 O 0.6610 0.9432 0.4598  1 P 1.51
35 O 0.7913 0.5158 0.8240  2 P 1.61-1.62
36 O 0.7913 0.9842 0.3240  2 P 1.61-1.62
37 O 0.8443 0.6606 0.2157  1 P 1.50
38 O 0.8443 0.8394 0.7157  1 P 1.50
39 O 0.8521 0.1796 0.9544  1 P 1.50
40 O 0.8521 0.3204 0.4544  1 P 1.50

=====

Record 2
This record from the Materials Project describes KTi2P3O12 after structural relaxation. The functional is PBE-GGA.

abc: 9.9224 9.9224 9.9224
angles: 90.00 90.00 90.00
Last column: nearest neighbours and their distance in Å.
Positions (direct):
1 K 0.0739 0.0739 0.0739  9 O 2.88-3.01
2 K 0.4261 0.9261 0.5739  9 O 2.88-3.01
3 K 0.5739 0.4261 0.9261  9 O 2.88-3.01
4 K 0.9261 0.5739 0.4261  9 O 2.88-3.01
5 Ti 0.0865 0.9135 0.4135  6 O 1.95-1.97
6 Ti 0.1399 0.3601 0.6399  6 O 1.95-1.97
7 Ti 0.3601 0.6399 0.1399  6 O 1.95-1.97
8 Ti 0.4135 0.0865 0.9135  6 O 1.95-1.97
9 Ti 0.5865 0.5865 0.5865  6 O 1.95-1.97
10 Ti 0.6399 0.1399 0.3601  6 O 1.95-1.97
11 Ti 0.8601 0.8601 0.8601  6 O 1.95-1.97
12 Ti 0.9135 0.4135 0.0865  6 O 1.95-1.97
13 P 0.0455 0.7273 0.1256  4 O 1.54-1.55
14 P 0.1256 0.0455 0.7273  4 O 1.54-1.55
15 P 0.2273 0.3744 0.9545  4 O 1.54-1.55
16 P 0.2727 0.6256 0.4545  4 O 1.54-1.55
17 P 0.3744 0.9545 0.2273  4 O 1.54-1.55
18 P 0.4545 0.2727 0.6256  4 O 1.54-1.55
19 P 0.5455 0.7727 0.8744  4 O 1.54-1.55
20 P 0.6256 0.4545 0.2727  4 O 1.54-1.55
21 P 0.7273 0.1256 0.0455  4 O 1.54-1.55
22 P 0.7727 0.8744 0.5455  4 O 1.54-1.55
23 P 0.8744 0.5455 0.7727  4 O 1.54-1.55
24 P 0.9545 0.2273 0.3744  4 O 1.54-1.55
25 O 0.0015 0.5791 0.1462  1 P 1.55
26 O 0.0182 0.9594 0.7984  1 P 1.54
27 O 0.0239 0.8039 0.2602  1 P 1.55
28 O 0.0406 0.2984 0.4818  1 P 1.54
29 O 0.0791 0.3538 0.9985  1 P 1.55
30 O 0.0838 0.1950 0.7342  1 P 1.54
31 O 0.1462 0.0015 0.5791  1 P 1.55
32 O 0.1950 0.7342 0.0838  1 P 1.54
33 O 0.1961 0.7602 0.4761  1 P 1.55
34 O 0.2016 0.5182 0.5406  1 P 1.54
35 O 0.2342 0.4162 0.8050  1 P 1.54
36 O 0.2398 0.9761 0.3039  1 P 1.55
37 O 0.2602 0.0239 0.8039  1 P 1.55
38 O 0.2658 0.5838 0.3050  1 P 1.54
39 O 0.2984 0.4818 0.0406  1 P 1.54
40 O 0.3039 0.2398 0.9761  1 P 1.55
41 O 0.3050 0.2658 0.5838  1 P 1.54
42 O 0.3538 0.9985 0.0791  1 P 1.55
43 O 0.4162 0.8050 0.2342  1 P 1.54
44 O 0.4209 0.6462 0.4985  1 P 1.55
45 O 0.4594 0.7016 0.9818  1 P 1.54
46 O 0.4761 0.1961 0.7602  1 P 1.55
47 O 0.4818 0.0406 0.2984  1 P 1.54
48 O 0.4985 0.4209 0.6462  1 P 1.55
49 O 0.5015 0.9209 0.8538  1 P 1.55
50 O 0.5182 0.5406 0.2016  1 P 1.54
51 O 0.5239 0.6961 0.7398  1 P 1.55
52 O 0.5406 0.2016 0.5182  1 P 1.54
53 O 0.5791 0.1462 0.0015  1 P 1.55
54 O 0.5838 0.3050 0.2658  1 P 1.54
55 O 0.6462 0.4985 0.4209  1 P 1.55
56 O 0.6950 0.7658 0.9162  1 P 1.54
57 O 0.6961 0.7398 0.5239  1 P 1.55
58 O 0.7016 0.9818 0.4594  1 P 1.54
59 O 0.7342 0.0838 0.1950  1 P 1.54
60 O 0.7398 0.5239 0.6961  1 P 1.55
61 O 0.7602 0.4761 0.1961  1 P 1.55
62 O 0.7658 0.9162 0.6950  1 P 1.54
63 O 0.7984 0.0182 0.9594  1 P 1.54
64 O 0.8039 0.2602 0.0239  1 P 1.55
65 O 0.8050 0.2342 0.4162  1 P 1.54
66 O 0.8538 0.5015 0.9209  1 P 1.55
67 O 0.9162 0.6950 0.7658  1 P 1.54
68 O 0.9209 0.8538 0.5015  1 P 1.55
69 O 0.9594 0.7984 0.0182  1 P 1.54
70 O 0.9761 0.3039 0.2398  1 P 1.55
71 O 0.9818 0.4594 0.7016  1 P 1.54
72 O 0.9985 0.0791 0.3538  1 P 1.55

* energy relative to the lowest polymorph listed for this composition: 13.7 meV/atom

=====

Record 3
This record from the Materials Project describes SiO2 after structural relaxation. The functional is PBE-GGA.

abc: 13.4688 13.4688 13.4688
angles: 109.47 109.47 109.47
Last column: nearest neighbours and their distance in Å.
Positions (direct):
1 Si 0.0611 0.1704 0.9362  4 O 1.62-1.67
2 Si 0.0611 0.3907 0.1249  4 O 1.62-1.67
3 Si 0.0638 0.6249 0.2342  4 O 1.62-1.67
4 Si 0.0638 0.9389 0.8296  4 O 1.62-1.67
5 Si 0.1093 0.1704 0.7342  4 O 1.62-1.67
6 Si 0.1093 0.4389 0.3751  4 O 1.62-1.67
7 Si 0.1249 0.0611 0.3907  4 O 1.62-1.67
8 Si 0.1249 0.5638 0.7342  4 O 1.62-1.67
9 Si 0.1704 0.7342 0.1093  4 O 1.62-1.67
10 Si 0.1704 0.9362 0.0611  4 O 1.62-1.67
11 Si 0.2342 0.0638 0.6249  4 O 1.62-1.67
12 Si 0.2342 0.6704 0.6093  4 O 1.62-1.67
13 Si 0.2658 0.8751 0.4362  4 O 1.62-1.67
14 Si 0.2658 0.8907 0.8296  4 O 1.62-1.67
15 Si 0.3296 0.3907 0.7658  4 O 1.62-1.67
16 Si 0.3296 0.4389 0.5638  4 O 1.62-1.67
17 Si 0.3751 0.1093 0.4389  4 O 1.62-1.67
18 Si 0.3751 0.7658 0.9362  4 O 1.62-1.67
19 Si 0.3907 0.1249 0.0611  4 O 1.62-1.67
20 Si 0.3907 0.7658 0.3296  4 O 1.62-1.67
21 Si 0.4362 0.2658 0.8751  4 O 1.62-1.67
22 Si 0.4362 0.6704 0.5611  4 O 1.62-1.67
23 Si 0.4389 0.3751 0.1093  4 O 1.62-1.67
24 Si 0.4389 0.5638 0.3296  4 O 1.62-1.67
25 Si 0.5611 0.4362 0.6704  4 O 1.62-1.67
26 Si 0.5611 0.6249 0.8907  4 O 1.62-1.67
27 Si 0.5638 0.3296 0.4389  4 O 1.62-1.67
28 Si 0.5638 0.7342 0.1249  4 O 1.62-1.67
29 Si 0.6093 0.2342 0.6704  4 O 1.62-1.67
30 Si 0.6093 0.8751 0.9389  4 O 1.62-1.67
31 Si 0.6249 0.2342 0.0638  4 O 1.62-1.67
32 Si 0.6249 0.8907 0.5611  4 O 1.62-1.67
33 Si 0.6704 0.5611 0.4362  4 O 1.62-1.67
34 Si 0.6704 0.6093 0.2342  4 O 1.62-1.67
35 Si 0.7342 0.1093 0.1704  4 O 1.62-1.67
36 Si 0.7342 0.1249 0.5638  4 O 1.62-1.67
37 Si 0.7658 0.3296 0.3907  4 O 1.62-1.67
38 Si 0.7658 0.9362 0.3751  4 O 1.62-1.67
39 Si 0.8296 0.0638 0.9389  4 O 1.62-1.67
40 Si 0.8296 0.2658 0.8907  4 O 1.62-1.67
41 Si 0.8751 0.4362 0.2658  4 O 1.62-1.67
42 Si 0.8751 0.9389 0.6093  4 O 1.62-1.67
43 Si 0.8907 0.5611 0.6249  4 O 1.62-1.67
44 Si 0.8907 0.8296 0.2658  4 O 1.62-1.67
45 Si 0.9362 0.0611 0.1704  4 O 1.62-1.67
46 Si 0.9362 0.3751 0.7658  4 O 1.62-1.67
47 Si 0.9389 0.6093 0.8751  4 O 1.62-1.67
48 Si 0.9389 0.8296 0.0638  4 O 1.62-1.67
49 O 0.0417 0.6237 0.6882  2 Si 1.66-1.67
50 O 0.0417 0.9180 0.3535  2 Si 1.66-1.67
51 O 0.0485 0.0969 0.2985  2 Si 1.65
52 O 0.0485 0.4515 0.7500  2 Si 1.65
53 O 0.0645 0.6882 0.1465  2 Si 1.66-1.67
54 O 0.0645 0.8763 0.9180  2 Si 1.66-1.67
55 O 0.0820 0.6465 0.9583  2 Si 1.66-1.67
56 O 0.0820 0.9355 0.1237  2 Si 1.66-1.67
57 O 0.0969 0.2985 0.0485  2 Si 1.65
58 O 0.1135 0.2270 0.8635  2 Si 1.62
59 O 0.1135 0.3865 0.2500  2 Si 1.62
60 O 0.1237 0.0820 0.9355  2 Si 1.66-1.67
61 O 0.1237 0.5417 0.1882  2 Si 1.66-1.67
62 O 0.1365 0.7500 0.3635  2 Si 1.62
63 O 0.1365 0.8865 0.7730  2 Si 1.62
64 O 0.1465 0.0645 0.6882  2 Si 1.66-1.67
65 O 0.1465 0.5820 0.4583  2 Si 1.66-1.67
66 O 0.1882 0.1237 0.5417  2 Si 1.66-1.67
67 O 0.1882 0.5645 0.6465  2 Si 1.66-1.67
68 O 0.2015 0.2985 0.7500  2 Si 1.65
69 O 0.2015 0.4031 0.4515  2 Si 1.65
70 O 0.2270 0.8635 0.1135  2 Si 1.62
71 O 0.2500 0.1135 0.3865  2 Si 1.62
72 O 0.2500 0.6365 0.8635  2 Si 1.62
73 O 0.2500 0.7985 0.7015  2 Si 1.65
74 O 0.2500 0.9515 0.5485  2 Si 1.65
75 O 0.2730 0.3865 0.6365  2 Si 1.62
76 O 0.2985 0.0485 0.0969  2 Si 1.65
77 O 0.2985 0.7500 0.2015  2 Si 1.65
78 O 0.3118 0.8535 0.9355  2 Si 1.66-1.67
79 O 0.3118 0.9583 0.3763  2 Si 1.66-1.67
80 O 0.3535 0.0417 0.9180  2 Si 1.66-1.67
81 O 0.3535 0.8118 0.4355  2 Si 1.66-1.67
82 O 0.3635 0.1365 0.7500  2 Si 1.62
83 O 0.3635 0.7270 0.6135  2 Si 1.62
84 O 0.3763 0.3118 0.9583  2 Si 1.66-1.67
85 O 0.3763 0.5645 0.4180  2 Si 1.66-1.67
86 O 0.3865 0.2500 0.1135  2 Si 1.62
87 O 0.3865 0.6365 0.2730  2 Si 1.62
88 O 0.4031 0.4515 0.2015  2 Si 1.65
89 O 0.4180 0.3763 0.5645  2 Si 1.66-1.67
90 O 0.4180 0.5417 0.8535  2 Si 1.66-1.67
91 O 0.4355 0.3535 0.8118  2 Si 1.66-1.67
92 O 0.4355 0.5820 0.6237  2 Si 1.66-1.67
93 O 0.4515 0.2015 0.4031  2 Si 1.65
94 O 0.4515 0.7500 0.0485  2 Si 1.65
95 O 0.4583 0.1465 0.5820  2 Si 1.66-1.67
96 O 0.4583 0.8118 0.8763  2 Si 1.66-1.67
97 O 0.5417 0.1882 0.1237  2 Si 1.66-1.67
98 O 0.5417 0.8535 0.4180  2 Si 1.66-1.67
99 O 0.5485 0.2500 0.9515  2 Si 1.65
100 O 0.5485 0.7985 0.5969  2 Si 1.65
101 O 0.5645 0.4180 0.3763  2 Si 1.66-1.67
102 O 0.5645 0.6465 0.1882  2 Si 1.66-1.67
103 O 0.5820 0.4583 0.1465  2 Si 1.66-1.67
104 O 0.5820 0.6237 0.4355  2 Si 1.66-1.67
105 O 0.5969 0.5485 0.7985  2 Si 1.65
106 O 0.6135 0.3635 0.7270  2 Si 1.62
107 O 0.6135 0.7500 0.8865  2 Si 1.62
108 O 0.6237 0.4355 0.5820  2 Si 1.66-1.67
109 O 0.6237 0.6882 0.0417  2 Si 1.66-1.67
110 O 0.6365 0.2730 0.3865  2 Si 1.62
111 O 0.6365 0.8635 0.2500  2 Si 1.62
112 O 0.6465 0.1882 0.5645  2 Si 1.66-1.67
113 O 0.6465 0.9583 0.0820  2 Si 1.66-1.67
114 O 0.6882 0.0417 0.6237  2 Si 1.66-1.67
115 O 0.6882 0.1465 0.0645  2 Si 1.66-1.67
116 O 0.7015 0.2500 0.7985  2 Si 1.65
117 O 0.7015 0.9515 0.9031  2 Si 1.65
118 O 0.7270 0.6135 0.3635  2 Si 1.62
119 O 0.7500 0.0485 0.4515  2 Si 1.65
120 O 0.7500 0.2015 0.2985  2 Si 1.65
121 O 0.7500 0.3635 0.1365  2 Si 1.62
122 O 0.7500 0.8865 0.6135  2 Si 1.62
123 O 0.7730 0.1365 0.8865  2 Si 1.62
124 O 0.7985 0.5969 0.5485  2 Si 1.65
125 O 0.7985 0.7015 0.2500  2 Si 1.65
126 O 0.8118 0.4355 0.3535  2 Si 1.66-1.67
127 O 0.8118 0.8763 0.4583  2 Si 1.66-1.67
128 O 0.8535 0.4180 0.5417  2 Si 1.66-1.67
129 O 0.8535 0.9355 0.3118  2 Si 1.66-1.67
130 O 0.8635 0.1135 0.2270  2 Si 1.62
131 O 0.8635 0.2500 0.6365  2 Si 1.62
132 O 0.8763 0.4583 0.8118  2 Si 1.66-1.67
133 O 0.8763 0.9180 0.0645  2 Si 1.66-1.67
134 O 0.8865 0.6135 0.7500  2 Si 1.62
135 O 0.8865 0.7730 0.1365  2 Si 1.62
136 O 0.9031 0.7015 0.9515  2 Si 1.65
137 O 0.9180 0.0645 0.8763  2 Si 1.66-1.67
138 O 0.9180 0.3535 0.0417  2 Si 1.66-1.67
139 O 0.9355 0.1237 0.0820  2 Si 1.66-1.67
140 O 0.9355 0.3118 0.8535  2 Si 1.66-1.67
141 O 0.9515 0.5485 0.2500  2 Si 1.65
142 O 0.9515 0.9031 0.7015  2 Si 1.65
143 O 0.9583 0.0820 0.6465  2 Si 1.66-1.67
144 O 0.9583 0.3763 0.3118  2 Si 1.66-1.67

=====

Record 4
This record from the Materials Project describes Mg6TiCO8 after structural relaxation. The functional is PBE-GGA.

abc: 4.1757 4.1757 9.1222
angles: 90.00 90.00 90.00
Last column: nearest neighbours and their distance in Å.
Positions (direct):
1 Mg 0.0000 0.0000 0.0000  6 O 2.09-2.22
2 Mg 0.0000 0.0000 0.5000  4 O 2.09
3 Mg 0.0000 0.5000 0.2316  5 O 2.09-2.15
4 Mg 0.0000 0.5000 0.7684  5 O 2.09-2.15
5 Mg 0.5000 0.0000 0.2316  5 O 2.09-2.15
6 Mg 0.5000 0.0000 0.7684  5 O 2.09-2.15
7 Ti 0.5000 0.5000 0.5000  6 O 1.96-2.09
8 C 0.5000 0.5000 0.0000  4 O 2.09
9 O 0.0000 0.0000 0.2436  6 Mg 2.09-2.34
10 O 0.0000 0.0000 0.7564  6 Mg 2.09-2.34
11 O 0.0000 0.5000 0.0000  4 Mg 2.09-2.11, 2 C 2.09
12 O 0.0000 0.5000 0.5000  2 Mg 2.09, 2 Ti 2.09
13 O 0.5000 0.0000 0.0000  4 Mg 2.09-2.11, 2 C 2.09
14 O 0.5000 0.0000 0.5000  2 Mg 2.09, 2 Ti 2.09
15 O 0.5000 0.5000 0.2856  1 Ti 1.96, 4 Mg 2.15
16 O 0.5000 0.5000 0.7144  1 Ti 1.96, 4 Mg 2.15

* energy relative to the lowest polymorph listed for this composition: 0.0 meV/atom

=====

Table of energy of formation from the pure elements (eV/atom), in record order: -1.92 -3.02 -2.96 -2.40
Table of density (g cm⁻³), in record order: 3.59 2.85 2.55 3.48
Table of raw total energy (eV per atom), in record order: -6.380 -7.702 -7.611 -6.197